Entry 1:
# Li8Mn12Ni4O31, optimized geometry, DFT PBE+U
# crystal system = triclinic
# density = 4.19 g/cm³
# VASP energy = -6.4804 eV/atom
# E_form = -1.93 eV/atom
data_Li8Mn12Ni4O31
_chemical_formula_sum 'Li8 Mn12 Ni4 O31'
_cell_length_a 8.3019
_cell_length_b 8.3096
_cell_length_c 8.3116
_cell_angle_alpha 90.58
_cell_angle_beta 90.30
_cell_angle_gamma 90.27
_space_group_name_H-M_alt 'P 1'
_space_group_IT_number 1
_space_group_name_Hall 'P 1'
loop_
_atom_site_label
_atom_site_fract_x
_atom_site_fract_y
_atom_site_fract_z
Li1 0.0000 0.0000 0.0000
Li2 0.0019 0.5098 0.5058
Li3 0.2499 0.7587 0.2490
Li4 0.2537 0.2598 0.7542
Li5 0.4983 0.4998 0.9964
Li6 0.5046 0.0054 0.4933
Li7 0.7537 0.7554 0.7509
Li8 0.7710 0.2795 0.2799
Mn1 0.1225 0.3811 0.1283
Mn2 0.1270 0.1325 0.3789
Mn3 0.1303 0.8846 0.6257
Mn4 0.3732 0.3829 0.3758
Mn5 0.3779 0.6345 0.6233
Mn6 0.3787 0.8831 0.8741
Mn7 0.6239 0.8664 0.1236
Mn8 0.6249 0.6273 0.3732
Mn9 0.6256 0.1311 0.8617
Mn10 0.8729 0.6252 0.1269
Mn11 0.8761 0.3775 0.8771
Mn12 0.8794 0.1309 0.6256
Ni1 0.1267 0.6312 0.8761
Ni2 0.3599 0.1304 0.1227
Ni3 0.6276 0.3807 0.6241
Ni4 0.8766 0.8782 0.3760
O1 0.1042 0.6121 0.1259
O2 0.1087 0.3815 0.8995
O3 0.1178 0.1197 0.6139
O4 0.1222 0.1475 0.1484
O5 0.1267 0.9037 0.3934
O6 0.1378 0.3688 0.3646
O7 0.1456 0.6552 0.6267
O8 0.1496 0.8806 0.8579
O9 0.3530 0.3765 0.1426
O10 0.3601 0.1527 0.3697
O11 0.3668 0.8711 0.6387
O12 0.3765 0.4045 0.6076
O13 0.3766 0.6511 0.8538
O14 0.3882 0.6178 0.3871
O15 0.3927 0.8903 0.1054
O16 0.3961 0.1170 0.8839
O17 0.6019 0.3953 0.3777
O18 0.6090 0.6299 0.6042
O19 0.6145 0.8990 0.8916
O20 0.6275 0.8586 0.3539
O21 0.6413 0.6187 0.1412
O22 0.6442 0.3604 0.8731
O23 0.6550 0.1343 0.6171
O24 0.8547 0.6282 0.3597
O25 0.8577 0.8553 0.1271
O26 0.8629 0.1423 0.8625
O27 0.8785 0.3638 0.6486
O28 0.8779 0.6070 0.8944
O29 0.8881 0.3891 0.1141
O30 0.8966 0.1287 0.3960
O31 0.9009 0.8986 0.6241

---

Entry 2:
# LiMn3Ni2O8, optimized geometry, DFT PBE+U
# crystal system = orthorhombic
# density = 4.70 g/cm³
# VASP energy = -6.3812 eV/atom
# spin magnetization = 0.9997 μB/atom
# E_form = -1.74 eV/atom
data_LiMn3Ni2O8
_chemical_formula_sum 'Li2 Mn6 Ni4 O16'
_cell_length_a 5.8459
_cell_length_b 5.9130
_cell_length_c 8.5287
_cell_angle_alpha 90.00
_cell_angle_beta 90.00
_cell_angle_gamma 90.00
_space_group_name_H-M_alt 'I m m 2'
_space_group_IT_number 44
_space_group_name_Hall 'I 2 -2'
loop_
_atom_site_label
_atom_site_fract_x
_atom_site_fract_y
_atom_site_fract_z
Li1 0.0000 0.0000 0.0000
Mn1 0.0000 0.5000 0.7699
Mn2 0.2462 0.5000 0.1388
Ni1 0.0000 0.2523 0.3840
O1 0.0000 0.2192 0.6321
O2 0.0000 0.2820 0.1366
O3 0.2283 0.0000 0.4087
O4 0.2307 0.5000 0.3611

---

Entry 3:
# Li4Mn5Ni2O12, optimized geometry, DFT PBE+U
# crystal system = monoclinic
# density = 4.54 g/cm³
# VASP energy = -6.3974 eV/atom
# spin magnetization = 1.0000 μB/atom
# E_form = -1.93 eV/atom
data_Li4Mn5Ni2O12
_chemical_formula_sum 'Li8 Mn10 Ni4 O24'
_cell_length_a 5.1873
_cell_length_b 8.9200
_cell_length_c 9.8341
_cell_angle_alpha 90.00
_cell_angle_beta 100.70
_cell_angle_gamma 90.00
_space_group_name_H-M_alt 'P 1 21 1'
_space_group_IT_number 4
_space_group_name_Hall 'P 2yb'
loop_
_atom_site_label
_atom_site_fract_x
_atom_site_fract_y
_atom_site_fract_z
Li1 0.0046 0.0000 0.2588
Li2 0.0132 0.3376 0.2635
Li3 0.2505 0.4954 0.5046
Li4 0.4926 0.0087 0.7426
Mn1 0.0154 0.6656 0.2592
Mn2 0.2464 0.0042 0.0034
Mn3 0.2555 0.8382 0.4994
Mn4 0.2581 0.3471 0.9984
Mn5 0.4900 0.6563 0.7396
Ni1 0.2527 0.1665 0.5058
Ni2 0.2545 0.6749 0.0056
O1 0.0848 0.3221 0.6187
O2 0.0951 0.8450 0.1051
O3 0.1325 0.9924 0.6170
O4 0.1400 0.5132 0.1325
O5 0.1451 0.6781 0.6248
O6 0.1609 0.1675 0.1271
O7 0.3349 0.1620 0.8792
O8 0.3521 0.6735 0.3819
O9 0.3595 0.5207 0.8753
O10 0.3641 0.9989 0.3903
O11 0.3866 0.8455 0.8949
O12 0.3999 0.3192 0.3772

---

Entry 4:
# Li3MnNi2O6, optimized geometry, DFT PBE+U
# crystal system = monoclinic
# density = 4.33 g/cm³
# VASP energy = -5.5265 eV/atom
# spin magnetization = 0.0000 μB/atom
# E_form = -1.75 eV/atom
# E above lowest polymorph = 13 meV/atom
data_Li3MnNi2O6
_chemical_formula_sum 'Li12 Mn4 Ni8 O24'
_cell_length_a 8.9337
_cell_length_b 5.0075
_cell_length_c 9.9740
_cell_angle_alpha 90.00
_cell_angle_beta 95.85
_cell_angle_gamma 90.00
_space_group_name_H-M_alt 'C 1 2/c 1'
_space_group_IT_number 15
_space_group_name_Hall '-C 2yc'
loop_
_atom_site_label
_atom_site_fract_x
_atom_site_fract_y
_atom_site_fract_z
Li1 0.0000 0.1346 0.2500
Li2 0.1724 0.3587 0.7553
Mn1 0.2500 0.2500 0.5000
Ni1 0.0828 0.2539 0.0003
O1 0.0847 0.4103 0.3880
O2 0.0998 0.0916 0.6077
O3 0.2425 0.0676 0.8895

---

Entry 5:
# Li2Mn3NiO8, optimized geometry, DFT PBE+U
# crystal system = cubic
# largest piezoelectric modulus = 0.00 C/m2
# density = 4.27 g/cm³
# VASP energy = -6.4954 eV/atom
# spin magnetization = 0.7857 μB/atom
# E_form = -1.95 eV/atom
# E above lowest polymorph = 0 meV/atom
data_Li2Mn3NiO8
_chemical_formula_sum 'Li8 Mn12 Ni4 O32'
_cell_length_a 8.2838
_cell_length_b 8.2838
_cell_length_c 8.2838
_cell_angle_alpha 90.00
_cell_angle_beta 90.00
_cell_angle_gamma 90.00
_space_group_name_H-M_alt 'P 43 3 2'
_space_group_IT_number 212
_space_group_name_Hall 'P 4acd 2ab 3'
loop_
_atom_site_label
_atom_site_fract_x
_atom_site_fract_y
_atom_site_fract_z
Li1 0.0037 0.0037 0.0037
Mn1 0.1212 0.1288 0.6250
Ni1 0.1250 0.8750 0.3750
O1 0.1013 0.1239 0.3921
O2 0.1155 0.6155 0.8845

---

Entry 6:
# Li2Mn3NiO8, optimized geometry, DFT PBE+U
# crystal system = monoclinic
# density = 4.25 g/cm³
# VASP energy = -6.4419 eV/atom
# spin magnetization = 0.7857 μB/atom
# E_form = -1.90 eV/atom
# E above lowest polymorph = 54 meV/atom
data_Li2Mn3NiO8
_chemical_formula_sum 'Li8 Mn12 Ni4 O32'
_cell_length_a 8.2765
_cell_length_b 8.3198
_cell_length_c 8.2908
_cell_angle_alpha 90.00
_cell_angle_beta 90.24
_cell_angle_gamma 90.00
_space_group_name_H-M_alt 'P 1 21 1'
_space_group_IT_number 4
_space_group_name_Hall 'P 2yb'
loop_
_atom_site_label
_atom_site_fract_x
_atom_site_fract_y
_atom_site_fract_z
Li1 0.0035 0.0000 0.2525
Li2 0.1247 0.1256 0.6240
Li3 0.3766 0.8764 0.1262
Li4 0.4955 0.0031 0.7507
Mn1 0.1233 0.3732 0.3759
Mn2 0.1241 0.6269 0.1225
Mn3 0.1257 0.8739 0.8770
Mn4 0.3732 0.3766 0.6232
Mn5 0.3740 0.6281 0.8771
Mn6 0.3768 0.1305 0.3781
Ni1 0.2476 0.7543 0.4930
Ni2 0.2541 0.2510 0.9976
O1 0.1029 0.8699 0.6408
O2 0.1102 0.1045 0.8772
O3 0.1103 0.3855 0.1365
O4 0.1204 0.8525 0.1074
O5 0.1232 0.6089 0.3538
O6 0.1341 0.6385 0.8867
O7 0.1392 0.3774 0.6014
O8 0.1461 0.1443 0.3720
O9 0.3559 0.8568 0.8750
O10 0.3581 0.6232 0.1039
O11 0.3642 0.3654 0.3868
O12 0.3746 0.3917 0.8528
O13 0.3809 0.1510 0.6075
O14 0.3849 0.6172 0.6362
O15 0.3954 0.9019 0.3818
O16 0.3989 0.1274 0.1406

---

What is the E_form in the sixth record?
-1.90 eV/atom

---

Among the records above, which one has the lowest E_form?
number 5